Entry 1:
Ba10Ta10N9O21 | PBE | optimized geometry

Unit cell a=4.132 b=4.138 c=41.513 alpha=90.00 beta=90.00 gamma=90.00
Atoms (fractional coordinates):
Ba 0.000 0.000 0.798
Ba 0.000 0.000 0.900
Ba 0.000 0.000 0.000
Ba 0.000 0.000 0.202
Ba 0.000 0.000 0.300
Ba 0.000 0.000 0.600
Ba 0.000 0.000 0.100
Ba 0.000 0.000 0.500
Ba 0.000 0.000 0.400
Ba 0.000 0.000 0.700
Ta 0.500 0.500 0.853
Ta 0.500 0.500 0.049
Ta 0.500 0.500 0.951
Ta 0.500 0.500 0.147
Ta 0.500 0.500 0.350
Ta 0.500 0.500 0.250
Ta 0.500 0.500 0.550
Ta 0.500 0.500 0.450
Ta 0.500 0.500 0.750
Ta 0.500 0.500 0.650
N 0.500 0.500 0.000
N 0.500 0.500 0.899
N 0.500 0.500 0.101
N 0.500 0.000 0.350
N 0.500 0.000 0.450
N 0.500 0.000 0.550
N 0.500 0.000 0.250
N 0.500 0.000 0.650
N 0.500 0.000 0.750
O 0.000 0.500 0.849
O 0.000 0.500 0.950
O 0.000 0.500 0.050
O 0.000 0.500 0.151
O 0.000 0.500 0.350
O 0.000 0.500 0.450
O 0.000 0.500 0.550
O 0.000 0.500 0.650
O 0.500 0.000 0.849
O 0.500 0.500 0.799
O 0.500 0.000 0.050
O 0.500 0.500 0.201
O 0.500 0.000 0.950
O 0.500 0.500 0.400
O 0.500 0.500 0.300
O 0.500 0.000 0.151
O 0.500 0.500 0.500
O 0.500 0.500 0.600
O 0.500 0.500 0.700
O 0.000 0.500 0.250
O 0.000 0.500 0.750

## Properties
V, Å³ per atom: 14.194
Symmetry: Pmmm
Energy, eV for the cell shown: -435.05

Entry 2:
Ba3Os2N4 | PBE | optimized geometry

Unit cell a=6.484 b=10.835 c=9.794 alpha=90.00 beta=90.00 gamma=90.00
Atoms (fractional coordinates):
Ba 0.636 0.159 0.424
Ba 0.864 0.841 0.424
Ba 0.636 0.341 0.076
Ba 0.864 0.659 0.076
Ba 0.364 0.841 0.576
Ba 0.136 0.159 0.576
Ba 0.364 0.659 0.924
Ba 0.136 0.341 0.924
Ba 0.750 0.500 0.409
Ba 0.750 0.000 0.091
Ba 0.250 0.500 0.591
Ba 0.250 0.000 0.909
Os 0.750 0.500 0.742
Os 0.750 0.000 0.758
Os 0.250 0.500 0.258
Os 0.250 0.000 0.242
Os 0.700 0.250 0.750
Os 0.800 0.750 0.750
Os 0.300 0.750 0.250
Os 0.200 0.250 0.250
N 0.897 0.358 0.658
N 0.603 0.642 0.658
N 0.897 0.142 0.842
N 0.603 0.858 0.842
N 0.103 0.642 0.342
N 0.397 0.358 0.342
N 0.103 0.858 0.158
N 0.397 0.142 0.158
N 0.492 0.392 0.791
N 0.008 0.608 0.791
N 0.492 0.108 0.709
N 0.008 0.892 0.709
N 0.508 0.608 0.209
N 0.992 0.392 0.209
N 0.508 0.892 0.291
N 0.992 0.108 0.291

## Properties
V, Å³ per atom: 19.112
Symmetry: Pnna
Energy relative to the lowest polymorph listed for this composition, kJ/mol of atoms: 0.0

Entry 3:
BaOs2N4 | PBE | optimized geometry

Unit cell a=11.192 b=11.192 c=11.192 alpha=90.00 beta=90.00 gamma=90.00
Atoms (fractional coordinates):
Ba 0.500 0.500 0.000
Ba 0.500 0.000 0.500
Ba 0.000 0.500 0.500
Ba 0.000 0.000 0.000
Ba 0.137 0.863 0.363
Ba 0.863 0.363 0.137
Ba 0.363 0.137 0.863
Ba 0.637 0.637 0.637
Ba 0.863 0.137 0.637
Ba 0.137 0.637 0.863
Ba 0.637 0.863 0.137
Ba 0.363 0.363 0.363
Os 0.402 0.685 0.347
Os 0.598 0.185 0.153
Os 0.098 0.315 0.847
Os 0.902 0.815 0.653
Os 0.347 0.402 0.685
Os 0.153 0.598 0.185
Os 0.847 0.098 0.315
Os 0.653 0.902 0.815
Os 0.685 0.347 0.402
Os 0.185 0.153 0.598
Os 0.315 0.847 0.098
Os 0.815 0.653 0.902
Os 0.598 0.315 0.653
Os 0.402 0.815 0.847
Os 0.902 0.685 0.153
Os 0.098 0.185 0.347
Os 0.653 0.598 0.315
Os 0.847 0.402 0.815
Os 0.153 0.902 0.685
Os 0.347 0.098 0.185
Os 0.315 0.653 0.598
Os 0.815 0.847 0.402
Os 0.685 0.153 0.902
Os 0.185 0.347 0.098
N 0.385 0.817 0.253
N 0.615 0.317 0.247
N 0.115 0.183 0.753
N 0.885 0.683 0.747
N 0.253 0.385 0.817
N 0.247 0.615 0.317
N 0.753 0.115 0.183
N 0.747 0.885 0.683
N 0.817 0.253 0.385
N 0.317 0.247 0.615
N 0.183 0.753 0.115
N 0.683 0.747 0.885
N 0.615 0.183 0.747
N 0.385 0.683 0.753
N 0.885 0.817 0.247
N 0.115 0.317 0.253
N 0.747 0.615 0.183
N 0.753 0.385 0.683
N 0.247 0.885 0.817
N 0.253 0.115 0.317
N 0.183 0.747 0.615
N 0.683 0.753 0.385
N 0.817 0.247 0.885
N 0.317 0.253 0.115
N 0.443 0.726 0.510
N 0.557 0.226 0.990
N 0.057 0.274 0.010
N 0.943 0.774 0.490
N 0.510 0.443 0.726
N 0.990 0.557 0.226
N 0.010 0.057 0.274
N 0.490 0.943 0.774
N 0.726 0.510 0.443
N 0.226 0.990 0.557
N 0.274 0.010 0.057
N 0.774 0.490 0.943
N 0.557 0.274 0.490
N 0.443 0.774 0.010
N 0.943 0.726 0.990
N 0.057 0.226 0.510
N 0.490 0.557 0.274
N 0.010 0.443 0.774
N 0.990 0.943 0.726
N 0.510 0.057 0.226
N 0.274 0.490 0.557
N 0.774 0.010 0.443
N 0.726 0.990 0.943
N 0.226 0.510 0.057

## Properties
V, Å³ per atom: 16.689
Symmetry: Pa-3
Energy, eV for the cell shown: -685.85

Entry 4:
BaOsN2 | PBE | optimized geometry

Unit cell a=7.421 b=13.489 c=7.788 alpha=90.00 beta=90.00 gamma=24.65
Atoms (fractional coordinates):
Ba 0.000 0.146 0.571
Ba 0.000 0.854 0.429
Ba 0.000 0.354 0.071
Ba 0.000 0.646 0.929
Os 0.000 0.407 0.623
Os 0.000 0.593 0.377
Os 0.000 0.093 0.123
Os 0.000 0.907 0.877
N 0.000 0.158 0.923
N 0.000 0.842 0.077
N 0.000 0.342 0.423
N 0.000 0.658 0.577
N 0.500 0.681 0.750
N 0.500 0.819 0.250
N 0.500 0.319 0.250
N 0.500 0.181 0.750

## Properties
V, Å³ per atom: 20.321
Symmetry: Cmce
Energy, eV for the cell shown: -122.61

Entry 5:
Ba3Os2N4 | PBE | optimized geometry

Unit cell a=7.861 b=9.673 c=5.673 alpha=90.00 beta=95.27 gamma=127.97
Atoms (fractional coordinates):
Ba 0.253 0.994 0.037
Ba 0.747 0.741 0.463
Ba 0.747 0.006 0.963
Ba 0.253 0.259 0.537
Ba 0.000 0.593 0.750
Ba 0.000 0.407 0.250
Os 0.579 0.158 0.567
Os 0.421 0.579 0.933
Os 0.421 0.842 0.433
Os 0.579 0.421 0.067
N 0.261 0.930 0.543
N 0.739 0.669 0.957
N 0.739 0.070 0.457
N 0.261 0.331 0.043
N 0.635 0.279 0.883
N 0.365 0.643 0.617
N 0.365 0.721 0.117
N 0.635 0.357 0.383

## Properties
V, Å³ per atom: 18.765
Symmetry: C2/c
Energy relative to the lowest polymorph listed for this composition, kJ/mol of atoms: 8.5

Entry 6:
Ba3OsN3 | PBE | optimized geometry

Unit cell a=8.258 b=8.258 c=5.704 alpha=90.00 beta=90.00 gamma=120.00
Atoms (fractional coordinates):
Ba 0.359 0.099 0.250
Ba 0.901 0.261 0.250
Ba 0.739 0.641 0.250
Ba 0.641 0.901 0.750
Ba 0.099 0.739 0.750
Ba 0.261 0.359 0.750
Os 0.667 0.333 0.750
Os 0.333 0.667 0.250
N 0.434 0.119 0.750
N 0.881 0.315 0.750
N 0.685 0.566 0.750
N 0.566 0.881 0.250
N 0.119 0.685 0.250
N 0.315 0.434 0.250

## Properties
V, Å³ per atom: 24.062
Symmetry: P6_3/m
Energy, eV for the cell shown: -90.79

Entry 7:
Ba2PdN2 | PBE | optimized geometry

Unit cell a=4.157 b=4.154 c=7.299 alpha=106.53 beta=106.55 gamma=90.00
Atoms (fractional coordinates):
Ba 0.854 0.854 0.208
Ba 0.146 0.146 0.792
Pd 0.500 0.500 0.500
N 0.355 0.355 0.210
N 0.645 0.645 0.790

## Properties
V, Å³ per atom: 23.075
Symmetry: I4/mmm
Energy, eV for the cell shown: -27.15

Entry 8:
BaRe2N4 | PBE | optimized geometry

Unit cell a=11.112 b=11.112 c=11.112 alpha=90.00 beta=90.00 gamma=90.00
Atoms (fractional coordinates):
Ba 0.500 0.500 0.000
Ba 0.500 0.000 0.500
Ba 0.000 0.500 0.500
Ba 0.000 0.000 0.000
Ba 0.146 0.854 0.354
Ba 0.854 0.354 0.146
Ba 0.354 0.146 0.854
Ba 0.646 0.646 0.646
Ba 0.854 0.146 0.646
Ba 0.146 0.646 0.854
Ba 0.646 0.854 0.146
Ba 0.354 0.354 0.354
Re 0.413 0.674 0.345
Re 0.587 0.174 0.155
Re 0.087 0.326 0.845
Re 0.913 0.826 0.655
Re 0.345 0.413 0.674
Re 0.155 0.587 0.174
Re 0.845 0.087 0.326
Re 0.655 0.913 0.826
Re 0.674 0.345 0.413
Re 0.174 0.155 0.587
Re 0.326 0.845 0.087
Re 0.826 0.655 0.913
Re 0.587 0.326 0.655
Re 0.413 0.826 0.845
Re 0.913 0.674 0.155
Re 0.087 0.174 0.345
Re 0.655 0.587 0.326
Re 0.845 0.413 0.826
Re 0.155 0.913 0.674
Re 0.345 0.087 0.174
Re 0.326 0.655 0.587
Re 0.826 0.845 0.413
Re 0.674 0.155 0.913
Re 0.174 0.345 0.087
N 0.395 0.806 0.251
N 0.605 0.306 0.249
N 0.105 0.194 0.751
N 0.895 0.694 0.749
N 0.251 0.395 0.806
N 0.249 0.605 0.306
N 0.751 0.105 0.194
N 0.749 0.895 0.694
N 0.806 0.251 0.395
N 0.306 0.249 0.605
N 0.194 0.751 0.105
N 0.694 0.749 0.895
N 0.605 0.194 0.749
N 0.395 0.694 0.751
N 0.895 0.806 0.249
N 0.105 0.306 0.251
N 0.749 0.605 0.194
N 0.751 0.395 0.694
N 0.249 0.895 0.806
N 0.251 0.105 0.306
N 0.194 0.749 0.605
N 0.694 0.751 0.395
N 0.806 0.249 0.895
N 0.306 0.251 0.105
N 0.460 0.728 0.507
N 0.540 0.228 0.993
N 0.040 0.272 0.007
N 0.960 0.772 0.493
N 0.507 0.460 0.728
N 0.993 0.540 0.228
N 0.007 0.040 0.272
N 0.493 0.960 0.772
N 0.728 0.507 0.460
N 0.228 0.993 0.540
N 0.272 0.007 0.040
N 0.772 0.493 0.960
N 0.540 0.272 0.493
N 0.460 0.772 0.007
N 0.960 0.728 0.993
N 0.040 0.228 0.507
N 0.493 0.540 0.272
N 0.007 0.460 0.772
N 0.993 0.960 0.728
N 0.507 0.040 0.228
N 0.272 0.493 0.540
N 0.772 0.007 0.460
N 0.728 0.993 0.960
N 0.228 0.507 0.040

## Properties
V, Å³ per atom: 16.333
Symmetry: Pa-3
Energy, eV for the cell shown: -742.24

Number 1: calculated density 8.5 g cm⁻³. Number 2: calculated density 8.2 g cm⁻³. Number 3: calculated density 8.2 g cm⁻³. Number 4: calculated density 7.3 g cm⁻³. Number 5: calculated density 8.3 g cm⁻³. Number 6: calculated density 6.4 g cm⁻³. Number 7: calculated density 5.9 g cm⁻³. Number 8: calculated density 8.2 g cm⁻³.